A geometry-optimized DyB4W structure, computed with r²SCAN.

a b c (Å): 6.0262 11.6446 3.6195
angles (deg): 90.00 90.00 90.00
Space group Pbam (No. 55)
Inequivalent atoms, fractional coordinates:
Dy 0.1273 0.1494 0.0000 x4
B 0.0240 0.6931 0.5000 x4
B 0.1138 0.5473 0.5000 x4
B 0.1339 0.9680 0.5000 x4
B 0.2137 0.8137 0.5000 x4
W 0.1301 0.4159 0.0000 x4

## Properties
- Uncorrected energy: -0.714 hartree per atom
- Formation energy: -0.640 eV/atom
- Volume: 10.58 A^3/atom